Entry 1:
Crystalline Ba7GeB3ClO13 at its relaxed geometry, computed with PBE-GGA.

Computed properties:
density = 4.97 g/cm3
energy relative to the elements = -3.047 eV per atom
energy with MP2020 corrections = -180.435 eV per formula unit
magnetic moment = 0.000 μB per atom

abc: 7.5113 20.6405 11.2990
angles: 90.00 90.00 90.00
Fractional positions:
Ba (0.0000, 0.0000, 0.1871)
Ba (0.0000, 0.0000, 0.8129)
Ba (0.0000, 0.5000, 0.2655)
Ba (0.0000, 0.5000, 0.7345)
Ba (0.0295, 0.2747, 0.5000)
Ba (0.1203, 0.3685, 0.0000)
Ba (0.1335, 0.9162, 0.5000)
Ba (0.1995, 0.1843, 0.2322)
Ba (0.1995, 0.1843, 0.7678)
Ba (0.3005, 0.6843, 0.2322)
Ba (0.3005, 0.6843, 0.7678)
Ba (0.3665, 0.4162, 0.5000)
Ba (0.3797, 0.8685, 0.0000)
Ba (0.4705, 0.7747, 0.5000)
Ba (0.5000, 0.0000, 0.2655)
Ba (0.5000, 0.0000, 0.7345)
Ba (0.5000, 0.5000, 0.1871)
Ba (0.5000, 0.5000, 0.8129)
Ba (0.5295, 0.2253, 0.5000)
Ba (0.6203, 0.1315, 0.0000)
Ba (0.6335, 0.5838, 0.5000)
Ba (0.6995, 0.3157, 0.2322)
Ba (0.6995, 0.3157, 0.7678)
Ba (0.8005, 0.8157, 0.2322)
Ba (0.8005, 0.8157, 0.7678)
Ba (0.8665, 0.0838, 0.5000)
Ba (0.8797, 0.6315, 0.0000)
Ba (0.9705, 0.7253, 0.5000)
Ge (0.2089, 0.5827, 0.5000)
Ge (0.2911, 0.0827, 0.5000)
Ge (0.7089, 0.9173, 0.5000)
Ge (0.7911, 0.4173, 0.5000)
B (0.2162, 0.5486, 0.0000)
B (0.2257, 0.3395, 0.2766)
B (0.2257, 0.3395, 0.7234)
B (0.2743, 0.8395, 0.2766)
B (0.2743, 0.8395, 0.7234)
B (0.2838, 0.0486, 0.0000)
B (0.7162, 0.9514, 0.0000)
B (0.7257, 0.1605, 0.2766)
B (0.7257, 0.1605, 0.7234)
B (0.7743, 0.6605, 0.2766)
B (0.7743, 0.6605, 0.7234)
B (0.7838, 0.4514, 0.0000)
Cl (0.0505, 0.7770, 0.0000)
Cl (0.4495, 0.2770, 0.0000)
Cl (0.5505, 0.7230, 0.0000)
Cl (0.9495, 0.2230, 0.0000)
O (0.0249, 0.4185, 0.5000)
O (0.0645, 0.3130, 0.2396)
O (0.0645, 0.3130, 0.7604)
O (0.1684, 0.8026, 0.3543)
O (0.1684, 0.8026, 0.6457)
O (0.1890, 0.5806, 0.1069)
O (0.1890, 0.5806, 0.8931)
O (0.1942, 0.0448, 0.3740)
O (0.1942, 0.0448, 0.6260)
O (0.2133, 0.1646, 0.5000)
O (0.2171, 0.9003, 0.2411)
O (0.2171, 0.9003, 0.7589)
O (0.2310, 0.9840, 0.0000)
O (0.2690, 0.4840, 0.0000)
O (0.2829, 0.4003, 0.2411)
O (0.2829, 0.4003, 0.7589)
O (0.2867, 0.6646, 0.5000)
O (0.3058, 0.5448, 0.3740)
O (0.3058, 0.5448, 0.6260)
O (0.3110, 0.0806, 0.1069)
O (0.3110, 0.0806, 0.8931)
O (0.3316, 0.3026, 0.3543)
O (0.3316, 0.3026, 0.6457)
O (0.4355, 0.8130, 0.2396)
O (0.4355, 0.8130, 0.7604)
O (0.4751, 0.9185, 0.5000)
O (0.5249, 0.0815, 0.5000)
O (0.5645, 0.1870, 0.2396)
O (0.5645, 0.1870, 0.7604)
O (0.6684, 0.6974, 0.3543)
O (0.6684, 0.6974, 0.6457)
O (0.6890, 0.9194, 0.1069)
O (0.6890, 0.9194, 0.8931)
O (0.6942, 0.4552, 0.3740)
O (0.6942, 0.4552, 0.6260)
O (0.7133, 0.3354, 0.5000)
O (0.7171, 0.5997, 0.2411)
O (0.7171, 0.5997, 0.7589)
O (0.7310, 0.5160, 0.0000)
O (0.7690, 0.0160, 0.0000)
O (0.7829, 0.0997, 0.2411)
O (0.7829, 0.0997, 0.7589)
O (0.7867, 0.8354, 0.5000)
O (0.8058, 0.9552, 0.3740)
O (0.8058, 0.9552, 0.6260)
O (0.8110, 0.4194, 0.1069)
O (0.8110, 0.4194, 0.8931)
O (0.8316, 0.1974, 0.3543)
O (0.8316, 0.1974, 0.6457)
O (0.9355, 0.6870, 0.2396)
O (0.9355, 0.6870, 0.7604)
O (0.9751, 0.5815, 0.5000)

***

Entry 2:
Crystalline Ta2Tl2P7HO24 at its relaxed geometry, computed with PBE-GGA.

Computed properties:
density = 4.25 g/cm3
energy relative to the elements = -2.639 eV per atom
energy with MP2020 corrections = -283.488 eV per formula unit
magnetic moment = 0.000 μB per atom

abc: 5.2441 18.7637 10.9380
angles: 90.00 95.42 90.00
Fractional positions:
Ta (0.2013, 0.0238, 0.3052)
Ta (0.2013, 0.4762, 0.3052)
Ta (0.7987, 0.5238, 0.6948)
Ta (0.7987, 0.9762, 0.6948)
Tl (0.1937, 0.7500, 0.2245)
Tl (0.2492, 0.2500, 0.5169)
Tl (0.7508, 0.7500, 0.4831)
Tl (0.8063, 0.2500, 0.7755)
P (0.1717, 0.1259, 0.0345)
P (0.1717, 0.3741, 0.0345)
P (0.2652, 0.5979, 0.5445)
P (0.2652, 0.9021, 0.5445)
P (0.3247, 0.0844, 0.7972)
P (0.3247, 0.4156, 0.7972)
P (0.3799, 0.2500, 0.1675)
P (0.6201, 0.7500, 0.8325)
P (0.6753, 0.5844, 0.2028)
P (0.6753, 0.9156, 0.2028)
P (0.7348, 0.0979, 0.4555)
P (0.7348, 0.4021, 0.4555)
P (0.8283, 0.6259, 0.9655)
P (0.8283, 0.8741, 0.9655)
H (0.1925, 0.7500, 0.7896)
H (0.8075, 0.2500, 0.2104)
O (0.0225, 0.5928, 0.6178)
O (0.0225, 0.9072, 0.6178)
O (0.0657, 0.6587, 0.0219)
O (0.0657, 0.8413, 0.0219)
O (0.0988, 0.0351, 0.7488)
O (0.0988, 0.4649, 0.7488)
O (0.1519, 0.0777, 0.1472)
O (0.1519, 0.4223, 0.1472)
O (0.1558, 0.2500, 0.2405)
O (0.2501, 0.5302, 0.4583)
O (0.2501, 0.9698, 0.4583)
O (0.2861, 0.6662, 0.4770)
O (0.2861, 0.8338, 0.4770)
O (0.3015, 0.1596, 0.7548)
O (0.3015, 0.3404, 0.7548)
O (0.3256, 0.0777, 0.9458)
O (0.3256, 0.4223, 0.9458)
O (0.3595, 0.7500, 0.7530)
O (0.3931, 0.1836, 0.0770)
O (0.3931, 0.3164, 0.0770)
O (0.4249, 0.5451, 0.2256)
O (0.4249, 0.9549, 0.2256)
O (0.5001, 0.0835, 0.3579)
O (0.5001, 0.4165, 0.3579)
O (0.4999, 0.5835, 0.6421)
O (0.4999, 0.9165, 0.6421)
O (0.5751, 0.0451, 0.7744)
O (0.5751, 0.4549, 0.7744)
O (0.6069, 0.6836, 0.9230)
O (0.6069, 0.8164, 0.9230)
O (0.6405, 0.2500, 0.2470)
O (0.6744, 0.5777, 0.0542)
O (0.6744, 0.9223, 0.0542)
O (0.6985, 0.6596, 0.2452)
O (0.6985, 0.8404, 0.2452)
O (0.7139, 0.1662, 0.5230)
O (0.7139, 0.3338, 0.5230)
O (0.7499, 0.0302, 0.5417)
O (0.7499, 0.4698, 0.5417)
O (0.8442, 0.7500, 0.7595)
O (0.8481, 0.5777, 0.8528)
O (0.8481, 0.9223, 0.8528)
O (0.9012, 0.5351, 0.2512)
O (0.9012, 0.9649, 0.2512)
O (0.9343, 0.1587, 0.9781)
O (0.9343, 0.3413, 0.9781)
O (0.9775, 0.0928, 0.3822)
O (0.9775, 0.4072, 0.3822)

***

Entry 3:
Crystalline KO3 at its relaxed geometry, computed with PBE-GGA.

Computed properties:
density = 1.85 g/cm3
energy relative to the elements = -0.660 eV per atom
magnetic moment = 0.250 μB per atom
energy above the lowest structure with this stoichiometry = 0.0000 eV/atom

abc: 4.8192 4.8192 4.8192
angles: 129.01 104.74 96.67
Fractional positions:
K (0.0000, 0.0000, 0.0000)
O (0.3992, 0.5942, 0.8050)
O (0.4780, 0.4780, 0.0000)
O (0.7892, 0.5942, 0.1950)

***

Entry 4:
Crystalline CeCoGe3 at its relaxed geometry, computed with PBE-GGA.

Computed properties:
density = 7.61 g/cm3
energy relative to the elements = -0.577 eV per atom

abc: 5.7677 5.7677 5.7677
angles: 136.12 136.12 63.79
Fractional positions:
Ce (0.0000, 0.0000, 0.0000)
Co (0.3289, 0.3289, 0.0000)
Ge (0.2379, 0.7379, 0.5000)
Ge (0.5622, 0.5622, 0.0000)
Ge (0.7379, 0.2379, 0.5000)